No. 1
Compound: PrGePd2
Source: Materials Project
Functional: meta-GGA r2SCAN
Structure: optimized geometry

Output
Energy relative to the elements in eV per atom: -0.889
Energy in eV per atom: -23.189
Calculated volume in Å³ per atom: 19.46

Unit cell a=7.663 b=7.034 c=5.776 alpha=90.00 beta=90.00 gamma=90.00
Space group Pnma (No. 62)
One atom of each set of equivalent atoms:
Pr  0.032  0.250  0.150 [4 per cell]
Ge  0.124  0.750  0.349 [4 per cell]
Pd  0.177  0.053  0.589 [8 per cell]

***

No. 2
Compound: PrGe2Pd2
Source: Materials Project
Functional: meta-GGA r2SCAN
Structure: optimized geometry

Output
Energy relative to the elements in eV per atom: -0.872
Energy in eV per atom: -21.486
Calculated volume in Å³ per atom: 19.09

Unit cell a=4.335 b=4.335 c=10.155 alpha=90.00 beta=90.00 gamma=90.00
Space group I4/mmm (No. 139)
One atom of each set of equivalent atoms:
Pr  0.000  0.000  0.000 [2 per cell]
Ge  0.000  0.000  0.377 [4 per cell]
Pd  0.000  0.500  0.250 [4 per cell]

***

> Among the records above, which one has the lowest energy?

PrGePd2

***

> Among the records above, which one has the highest energy?

PrGe2Pd2

***

> The lowest calculated volume belongs to which entry?

PrGe2Pd2